Below is a relaxed ThSeO crystal, with properties calculated at the GGA-PBE level.

a = 4.0412 Å, b = 4.0412 Å, c = 7.1061 Å
α = 90.00°, β = 90.00°, γ = 90.00°
Sites, in units of the cell vectors:
Se 0.5000 0.0000 0.6358
Se 0.0000 0.5000 0.3642
Th 0.5000 0.0000 0.1877
Th 0.0000 0.5000 0.8123
O 0.0000 0.0000 0.0000
O 0.5000 0.5000 0.0000

Output
- Calculated volume: 58.0 Å³/f.u.
- Energy of formation: -3.147 eV per atom